This record from Materials Project describes a geometry-optimized Mg3Ti2Al18 structure. The functional is r2SCAN.

Results
Space group ... Fd-3m (227)

Lattice parameters (Å, degrees): 10.3546 10.3546 10.3546 60.00 60.00 60.00
Sites, in units of the cell vectors:
Mg (0.0000, 0.0000, 0.0000)
Mg (0.0000, 0.0000, 0.5000)
Mg (0.0000, 0.5000, 0.0000)
Mg (0.1250, 0.1250, 0.1250)
Mg (0.5000, 0.0000, 0.0000)
Mg (0.8750, 0.8750, 0.8750)
Ti (0.0000, 0.5000, 0.5000)
Ti (0.5000, 0.0000, 0.5000)
Ti (0.5000, 0.5000, 0.0000)
Ti (0.5000, 0.5000, 0.5000)
Al (0.0568, 0.3253, 0.3253)
Al (0.0568, 0.3253, 0.7925)
Al (0.0568, 0.7925, 0.3253)
Al (0.2075, 0.6747, 0.6747)
Al (0.2075, 0.6747, 0.9432)
Al (0.2075, 0.9432, 0.6747)
Al (0.2363, 0.2363, 0.5137)
Al (0.2363, 0.5137, 0.2363)
Al (0.2363, 0.5137, 0.5137)
Al (0.3253, 0.0568, 0.3253)
Al (0.3253, 0.0568, 0.7925)
Al (0.3253, 0.3253, 0.0568)
Al (0.3253, 0.3253, 0.7925)
Al (0.3253, 0.7925, 0.0568)
Al (0.3253, 0.7925, 0.3253)
Al (0.4863, 0.4863, 0.7637)
Al (0.4863, 0.7637, 0.4863)
Al (0.4863, 0.7637, 0.7637)
Al (0.5137, 0.2363, 0.2363)
Al (0.5137, 0.2363, 0.5137)
Al (0.5137, 0.5137, 0.2363)
Al (0.6747, 0.2075, 0.6747)
Al (0.6747, 0.2075, 0.9432)
Al (0.6747, 0.6747, 0.2075)
Al (0.6747, 0.6747, 0.9432)
Al (0.6747, 0.9432, 0.2075)
Al (0.6747, 0.9432, 0.6747)
Al (0.7637, 0.4863, 0.4863)
Al (0.7637, 0.4863, 0.7637)
Al (0.7637, 0.7637, 0.4863)
Al (0.7925, 0.0568, 0.3253)
Al (0.7925, 0.3253, 0.0568)
Al (0.7925, 0.3253, 0.3253)
Al (0.9432, 0.2075, 0.6747)
Al (0.9432, 0.6747, 0.2075)
Al (0.9432, 0.6747, 0.6747)


This record from Materials Project describes a geometry-optimized Tm2MgAl structure. The functional is r2SCAN.

Results
Space group ... Fm-3m (225)

Lattice parameters (Å, degrees): 5.1057 5.1057 5.1057 60.00 60.00 60.00
Sites, in units of the cell vectors:
Tm (0.2500, 0.2500, 0.2500)
Tm (0.7500, 0.7500, 0.7500)
Mg (0.0000, 0.0000, 0.0000)
Al (0.5000, 0.5000, 0.5000)


This record from Materials Project describes a geometry-optimized Mg3Al18V2 structure. The functional is r2SCAN.

Results
Space group ... Fd-3m (227)

Lattice parameters (Å, degrees): 10.2280 10.2280 10.2280 60.00 60.00 60.00
Sites, in units of the cell vectors:
Mg (0.0000, 0.0000, 0.0000)
Mg (0.0000, 0.0000, 0.5000)
Mg (0.0000, 0.5000, 0.0000)
Mg (0.1250, 0.1250, 0.1250)
Mg (0.5000, 0.0000, 0.0000)
Mg (0.8750, 0.8750, 0.8750)
Al (0.0573, 0.3258, 0.3258)
Al (0.0573, 0.3258, 0.7910)
Al (0.0573, 0.7910, 0.3258)
Al (0.2090, 0.6742, 0.6742)
Al (0.2090, 0.6742, 0.9427)
Al (0.2090, 0.9427, 0.6742)
Al (0.2357, 0.2357, 0.5143)
Al (0.2357, 0.5143, 0.2357)
Al (0.2357, 0.5143, 0.5143)
Al (0.3258, 0.0573, 0.3258)
Al (0.3258, 0.0573, 0.7910)
Al (0.3258, 0.3258, 0.0573)
Al (0.3258, 0.3258, 0.7910)
Al (0.3258, 0.7910, 0.0573)
Al (0.3258, 0.7910, 0.3258)
Al (0.4857, 0.4857, 0.7643)
Al (0.4857, 0.7643, 0.4857)
Al (0.4857, 0.7643, 0.7643)
Al (0.5143, 0.2357, 0.2357)
Al (0.5143, 0.2357, 0.5143)
Al (0.5143, 0.5143, 0.2357)
Al (0.6742, 0.2090, 0.6742)
Al (0.6742, 0.2090, 0.9427)
Al (0.6742, 0.6742, 0.2090)
Al (0.6742, 0.6742, 0.9427)
Al (0.6742, 0.9427, 0.2090)
Al (0.6742, 0.9427, 0.6742)
Al (0.7643, 0.4857, 0.4857)
Al (0.7643, 0.4857, 0.7643)
Al (0.7643, 0.7643, 0.4857)
Al (0.7910, 0.0573, 0.3258)
Al (0.7910, 0.3258, 0.0573)
Al (0.7910, 0.3258, 0.3258)
Al (0.9427, 0.2090, 0.6742)
Al (0.9427, 0.6742, 0.2090)
Al (0.9427, 0.6742, 0.6742)
V (0.0000, 0.5000, 0.5000)
V (0.5000, 0.0000, 0.5000)
V (0.5000, 0.5000, 0.0000)
V (0.5000, 0.5000, 0.5000)


This record from Materials Project describes a geometry-optimized Mg16Al12W structure. The functional is r2SCAN.

Results
Space group ... R3m (160)

Lattice parameters (Å, degrees): 8.8643 8.8643 8.8643 108.41 108.41 108.41
Sites, in units of the cell vectors:
Mg (0.0000, 0.0000, 0.0000)
Mg (0.0092, 0.4105, 0.6868)
Mg (0.0092, 0.6868, 0.4105)
Mg (0.0127, 0.0127, 0.6552)
Mg (0.0127, 0.6552, 0.0127)
Mg (0.3090, 0.5903, 0.5903)
Mg (0.3244, 0.3244, 0.7182)
Mg (0.3244, 0.7182, 0.3244)
Mg (0.4105, 0.0092, 0.6868)
Mg (0.4105, 0.6868, 0.0092)
Mg (0.5903, 0.3090, 0.5903)
Mg (0.5903, 0.5903, 0.3090)
Mg (0.6552, 0.0127, 0.0127)
Mg (0.6868, 0.0092, 0.4105)
Mg (0.6868, 0.4105, 0.0092)
Mg (0.7182, 0.3244, 0.3244)
Al (0.0080, 0.1903, 0.3705)
Al (0.0080, 0.3705, 0.1903)
Al (0.1903, 0.0080, 0.3705)
Al (0.1903, 0.3705, 0.0080)
Al (0.2005, 0.8186, 0.8186)
Al (0.3705, 0.0080, 0.1903)
Al (0.3705, 0.1903, 0.0080)
Al (0.6548, 0.6548, 0.8443)
Al (0.6548, 0.8443, 0.6548)
Al (0.8186, 0.2005, 0.8186)
Al (0.8186, 0.8186, 0.2005)
Al (0.8443, 0.6548, 0.6548)
W (0.2947, 0.2947, 0.2947)


This record from Materials Project describes a geometry-optimized Mn4Al11 structure. The functional is r2SCAN.

Results
Space group ... P-1 (2)

Lattice parameters (Å, degrees): 4.9996 5.0945 8.7978 74.66 88.02 79.94
Sites, in units of the cell vectors:
Mn (0.1630, 0.3889, 0.3710)
Mn (0.1765, 0.1365, 0.9030)
Mn (0.8235, 0.8635, 0.0970)
Mn (0.8370, 0.6111, 0.6290)
Al (0.0242, 0.8944, 0.3728)
Al (0.0869, 0.6578, 0.8685)
Al (0.3400, 0.6992, 0.1222)
Al (0.3457, 0.4585, 0.6264)
Al (0.4329, 0.1559, 0.1816)
Al (0.5000, 0.0000, 0.5000)
Al (0.5671, 0.8441, 0.8184)
Al (0.6543, 0.5415, 0.3736)
Al (0.6600, 0.3008, 0.8778)
Al (0.9131, 0.3422, 0.1315)
Al (0.9758, 0.1056, 0.6272)


This record from Materials Project describes a geometry-optimized MnAl structure. The functional is r2SCAN.

Lattice parameters (Å, degrees): 3.6420 3.8378 3.8378 90.00 90.00 90.00
Sites, in units of the cell vectors:
Mn (0.5000, 0.5000, 0.0000)
Al (0.0000, 0.5000, 0.5000)
Al (0.0000, 0.0000, 0.0000)
Mn (0.5000, 0.0000, 0.5000)


This record from Materials Project describes a geometry-optimized MnAl6 structure. The functional is r2SCAN.

Results
Space group ... Cmcm (63)

Lattice parameters (Å, degrees): 4.9104 4.9104 8.7573 90.00 90.00 81.09
Sites, in units of the cell vectors:
Mn (0.0415, 0.9585, 0.7500)
Mn (0.9585, 0.0415, 0.2500)
Al (0.1037, 0.5292, 0.2500)
Al (0.1732, 0.1732, 0.0000)
Al (0.1732, 0.1732, 0.5000)
Al (0.3582, 0.6418, 0.6004)
Al (0.3582, 0.6418, 0.8996)
Al (0.4708, 0.8963, 0.2500)
Al (0.5292, 0.1037, 0.7500)
Al (0.6418, 0.3582, 0.1004)
Al (0.6418, 0.3582, 0.3996)
Al (0.8268, 0.8268, 0.0000)
Al (0.8268, 0.8268, 0.5000)
Al (0.8963, 0.4708, 0.7500)


This record from Materials Project describes a geometry-optimized MnAl12 structure. The functional is r2SCAN.

Results
Space group ... Im-3 (204)

Lattice parameters (Å, degrees): 6.4122 6.4122 6.4122 109.47 109.47 109.47
Sites, in units of the cell vectors:
Mn (0.0000, 0.0000, 0.0000)
Al (0.1197, 0.8148, 0.3049)
Al (0.1852, 0.3049, 0.4901)
Al (0.1852, 0.6951, 0.8803)
Al (0.3049, 0.1197, 0.8148)
Al (0.3049, 0.4901, 0.1852)
Al (0.4901, 0.1852, 0.3049)
Al (0.5099, 0.8148, 0.6951)
Al (0.6951, 0.5099, 0.8148)
Al (0.6951, 0.8803, 0.1852)
Al (0.8148, 0.3049, 0.1197)
Al (0.8148, 0.6951, 0.5099)
Al (0.8803, 0.1852, 0.6951)


It is found that the DFT total energy values, taken in the order of the records, are -7.108; -20.574; -7.195; -6.817; -9.118; -11.084; -8.005; -7.420 eV per atom.
It is found that the energy of formation from the pure elements values, taken in the order of the records, are -0.17; -0.29; -0.16; 0.04; -0.27; -0.38; -0.14; -0.08 eV per atom.